Entry 1:
Here is a relaxed structure of Na10Sc2Nb6Si11SO48 from the Materials Project. Energies are from PBE-GGA.

a = 9.0676 Å, b = 15.6613 Å, c = 22.8555 Å
α = 90.11°, β = 90.03°, γ = 90.12°
Closest atoms and distances in Å follow each position.
Atoms (fractional coordinates):
Na 0.0000 0.0000 0.0000  4 O 2.39-2.62
Na 0.0016 0.0336 0.6655  4 O 2.43-2.55
Na 0.0044 0.6981 0.3323  4 O 2.42-2.56
Na 0.0107 0.3696 0.0013  5 O 2.41-2.65
Na 0.1454 0.1698 0.1673  3 O 2.33-2.53
Na 0.1905 0.1871 0.5005  4 O 2.36-2.53
Na 0.3131 0.6875 0.7496  6 O 2.56-2.70
Na 0.3174 0.6839 0.2496  6 O 2.57-2.66
Na 0.3186 0.3562 0.9192  6 O 2.46-2.72
Na 0.3207 0.3580 0.4196  6 O 2.46-2.72
Na 0.3250 0.0136 0.5809  6 O 2.53-2.74
Na 0.3305 0.0165 0.0882  5 O 2.42-2.70
Na 0.4521 0.1886 0.0020  4 O 2.34-2.61
Na 0.4973 0.8368 0.3321  5 O 2.46-2.75
Na 0.5009 0.1704 0.6648  4 O 2.38-2.60
Na 0.5036 0.1986 0.3320  4 O 2.43-2.54
Na 0.5105 0.8668 0.0016  5 O 2.40-2.64
Na 0.5132 0.5341 0.6661  4 O 2.38-2.53
Na 0.6320 0.3694 0.5004  4 O 2.41-2.54
Na 0.6391 0.6998 0.8315  4 O 2.41-2.54
Na 0.6433 0.3379 0.8314  4 O 2.43-2.58
Na 0.6448 0.6689 0.1672  3 O 2.33-2.52
Na 0.8174 0.1842 0.2495  6 O 2.58-2.66
Na 0.8234 0.8532 0.9161  6 O 2.57-2.62
Na 0.8237 0.5213 0.5848  6 O 2.50-2.68
Na 0.8239 0.8548 0.4191  6 O 2.52-2.69
Na 0.8249 0.5161 0.0863  6 O 2.47-2.71
Na 0.8263 0.1866 0.7496  6 O 2.55-2.65
Na 0.9514 0.6868 0.0011  5 O 2.43-2.68
Na 0.9977 0.3379 0.3319  4 O 2.46-2.62
Sc 0.3183 0.3520 0.0634  6 O 2.00-2.15
Sc 0.3243 0.3520 0.5619  6 O 2.01-2.16
Sc 0.3322 0.0164 0.2317  5 O 1.99-2.11
Sc 0.8130 0.8472 0.0643  5 O 1.97-2.18
Sc 0.8204 0.5197 0.7318  5 O 2.00-2.14
Sc 0.8322 0.5160 0.2317  5 O 1.99-2.11
Nb 0.3144 0.6903 0.1020  5 O 1.91-2.04
Nb 0.3146 0.6829 0.8954  6 O 1.92-2.09
Nb 0.3182 0.3455 0.7723  5 O 1.93-2.05
Nb 0.3205 0.0184 0.9342  6 O 1.95-2.08
Nb 0.3199 0.3466 0.2709  5 O 1.95-2.05
Nb 0.3210 0.0143 0.7291  6 O 1.92-2.07
Nb 0.3214 0.6825 0.3979  6 O 1.90-2.09
Nb 0.3220 0.0140 0.4365  6 O 1.93-2.08
Nb 0.3243 0.6917 0.6001  5 O 1.88-2.03
Nb 0.8119 0.1924 0.1025  5 O 1.89-2.06
Nb 0.8186 0.5188 0.9350  6 O 1.96-2.09
Nb 0.8192 0.8458 0.2709  5 O 1.94-2.05
Nb 0.8193 0.8495 0.5616  6 O 1.93-2.05
Nb 0.8208 0.1888 0.6024  6 O 1.93-2.12
Nb 0.8223 0.5213 0.4371  6 O 1.98-2.07
Nb 0.8236 0.1823 0.3970  6 O 1.93-2.08
Nb 0.8249 0.8514 0.7695  6 O 1.94-2.08
Nb 0.8264 0.1833 0.8947  6 O 1.94-2.09
Si 0.0278 0.3549 0.1644  4 O 1.60-1.71
Si 0.0305 0.0176 0.8319  4 O 1.62-1.66
Si 0.0322 0.6852 0.5000  4 O 1.63-1.65
Si 0.1091 0.8482 0.6653  4 O 1.63-1.66
Si 0.1095 0.1846 0.0005  4 O 1.61-1.66
Si 0.1135 0.5185 0.3329  4 O 1.60-1.66
Si 0.1730 0.1586 0.3319  4 O 1.59-1.71
Si 0.1737 0.2073 0.6647  4 O 1.60-1.66
Si 0.1743 0.8312 0.9982  4 O 1.60-1.67
Si 0.1741 0.8742 0.3317  4 O 1.59-1.66
Si 0.1791 0.5387 0.9996  4 O 1.60-1.66
Si 0.4653 0.2046 0.1643  4 O 1.61-1.70
Si 0.4659 0.5399 0.5004  4 O 1.61-1.65
Si 0.4669 0.1610 0.8321  4 O 1.63-1.66
Si 0.4674 0.8725 0.8328  4 O 1.62-1.66
Si 0.4684 0.8311 0.4979  4 O 1.62-1.66
Si 0.5258 0.8545 0.1647  4 O 1.59-1.71
Si 0.5274 0.5186 0.8315  4 O 1.60-1.68
Si 0.5311 0.1828 0.4990  4 O 1.62-1.66
Si 0.6071 0.6825 0.9991  4 O 1.63-1.65
Si 0.6139 0.0183 0.3325  4 O 1.59-1.67
Si 0.6142 0.3541 0.6655  4 O 1.60-1.70
Si 0.6705 0.6590 0.3311  4 O 1.59-1.71
Si 0.6729 0.3323 0.9969  4 O 1.59-1.69
Si 0.6750 0.3754 0.3329  4 O 1.59-1.67
Si 0.6751 0.9942 0.6657  4 O 1.62-1.65
Si 0.6771 0.0405 0.9994  4 O 1.61-1.66
Si 0.6768 0.7059 0.6660  4 O 1.60-1.68
Si 0.9645 0.0380 0.5004  4 O 1.61-1.66
Si 0.9673 0.3749 0.8320  4 O 1.59-1.67
Si 0.9682 0.3326 0.4985  4 O 1.60-1.68
Si 0.9680 0.6631 0.8316  4 O 1.58-1.68
Si 0.9675 0.7038 0.1647  4 O 1.61-1.70
S 0.1746 0.4964 0.6664  4 O 1.45-1.51
S 0.4646 0.4960 0.1659  4 O 1.45-1.51
S 0.9653 0.9968 0.1657  4 O 1.47-1.50
O 0.0020 0.8700 0.6099  1 Si 1.63
O 0.0030 0.1649 0.0574  1 Si 1.65
O 0.0035 0.5003 0.3897  1 Si 1.66
O 0.0028 0.8374 0.7231  1 Si 1.65
O 0.0136 0.5410 0.2774  1 Si 1.60
O 0.0162 0.5065 0.6726  1 S 1.45
O 0.1259 0.0086 0.1718  1 S 1.47
O 0.1287 0.3643 0.1071  1 Si 1.60
O 0.1356 0.6997 0.4416  1 Si 1.65
O 0.1370 0.0044 0.8904  1 Si 1.66
O 0.1373 0.0329 0.7749  1 Si 1.64
O 0.1400 0.3358 0.2228  1 Si 1.71
O 0.1428 0.6709 0.5562  1 Si 1.65
O 0.1438 0.3352 0.5046  1 Si 1.60
O 0.1446 0.0354 0.4921  1 Si 1.65
O 0.1453 0.6760 0.8423  1 Si 1.64
O 0.1474 0.3640 0.8247  1 Si 1.65
O 0.1498 0.6969 0.1592  1 Si 1.66
O 0.1962 0.1078 0.2723  1 Si 1.59
O 0.2025 0.4440 0.6133  1 S 1.49
O 0.2063 0.6054 0.0553  1 Si 1.66
O 0.2067 0.9349 0.3902  1 Si 1.66
O 0.2080 0.2686 0.7227  1 Si 1.66
O 0.2088 0.7678 0.9436  1 Si 1.62
O 0.2090 0.9364 0.6741  1 Si 1.66
O 0.2119 0.0978 0.9920  1 Si 1.66
O 0.2136 0.2678 0.0023  1 Si 1.61
O 0.2145 0.4320 0.3245  1 Si 1.65
O 0.2151 0.6046 0.3423  1 Si 1.65
O 0.2153 0.7649 0.6590  1 Si 1.63
O 0.2449 0.4444 0.0031  1 Si 1.60
O 0.2455 0.7782 0.3420  1 Si 1.66
O 0.2473 0.4559 0.7187  1 S 1.51
O 0.2480 0.1116 0.6756  1 Si 1.66
O 0.2502 0.2578 0.3262  1 Si 1.71
O 0.2500 0.5896 0.9432  1 Si 1.65
O 0.2509 0.5816 0.6612  1 S 1.51
O 0.2544 0.2452 0.6080  1 Si 1.60
O 0.2556 0.1201 0.3906  1 Si 1.65
O 0.2566 0.9247 0.9925  1 Si 1.65
O 0.2581 0.7860 0.0553  1 Si 1.67
O 0.2579 0.9133 0.2768  1 Si 1.59
O 0.3831 0.1139 0.1714  1 Si 1.61
O 0.3893 0.9216 0.7771  1 Si 1.65
O 0.3891 0.9243 0.4924  1 Si 1.63
O 0.3895 0.7849 0.5552  1 Si 1.66
O 0.3905 0.1183 0.8905  1 Si 1.65
O 0.3918 0.5899 0.4439  1 Si 1.65
O 0.3944 0.2492 0.1076  1 Si 1.61
O 0.3946 0.2578 0.8257  1 Si 1.66
O 0.3955 0.7779 0.8398  1 Si 1.62
O 0.3970 0.4455 0.5038  1 Si 1.61
O 0.3969 0.4559 0.2190  1 S 1.50
O 0.3968 0.5838 0.1611  1 S 1.51
O 0.4188 0.9346 0.1707  1 Si 1.59
O 0.4232 0.0994 0.4925  1 Si 1.64
O 0.4274 0.4313 0.8248  1 Si 1.65
O 0.4284 0.6045 0.8421  1 Si 1.64
O 0.4307 0.2680 0.5031  1 Si 1.62
O 0.4339 0.1031 0.7743  1 Si 1.63
O 0.4339 0.6014 0.5579  1 Si 1.65
O 0.4340 0.9340 0.8906  1 Si 1.66
O 0.4349 0.7608 0.1598  1 Si 1.68
O 0.4355 0.7713 0.4409  1 Si 1.63
O 0.4360 0.2678 0.2236  1 Si 1.70
O 0.4392 0.4450 0.1138  1 S 1.45
O 0.4944 0.3606 0.3254  1 Si 1.66
O 0.4936 0.6950 0.6585  1 Si 1.68
O 0.4963 0.0098 0.6735  1 Si 1.65
O 0.4959 0.0331 0.9919  1 Si 1.66
O 0.4955 0.6804 0.3413  1 Si 1.64
O 0.4982 0.3356 0.0041  1 Si 1.59
O 0.5014 0.3354 0.7233  1 Si 1.70
O 0.5019 0.7006 0.9419  1 Si 1.64
O 0.5027 0.6693 0.0577  1 Si 1.65
O 0.5037 0.0004 0.3896  1 Si 1.67
O 0.5105 0.3681 0.6087  1 Si 1.62
O 0.5137 0.0411 0.2774  1 Si 1.59
O 0.6248 0.5393 0.7747  1 Si 1.60
O 0.6263 0.5089 0.1724  1 S 1.49
O 0.6272 0.8655 0.1073  1 Si 1.61
O 0.6381 0.1694 0.5572  1 Si 1.66
O 0.6388 0.5007 0.8887  1 Si 1.68
O 0.6395 0.1995 0.4423  1 Si 1.65
O 0.6403 0.8362 0.2227  1 Si 1.71
O 0.6435 0.1769 0.8396  1 Si 1.63
O 0.6452 0.8396 0.5067  1 Si 1.62
O 0.6452 0.8618 0.8258  1 Si 1.63
O 0.6456 0.5309 0.4916  1 Si 1.65
O 0.6486 0.1968 0.1592  1 Si 1.67
O 0.6960 0.6081 0.2719  1 Si 1.59
O 0.7052 0.1051 0.0555  1 Si 1.65
O 0.7053 0.4333 0.3923  1 Si 1.65
O 0.7056 0.7682 0.7239  1 Si 1.66
O 0.7082 0.2684 0.9415  1 Si 1.64
O 0.7080 0.9348 0.6089  1 Si 1.62
O 0.7087 0.2627 0.6599  1 Si 1.67
O 0.7120 0.7672 0.0028  1 Si 1.63
O 0.7145 0.9316 0.3246  1 Si 1.65
O 0.7148 0.1043 0.3424  1 Si 1.64
O 0.7150 0.4376 0.6719  1 Si 1.60
O 0.7175 0.5997 0.9920  1 Si 1.65
O 0.7446 0.6115 0.6693  1 Si 1.60
O 0.7457 0.2779 0.3424  1 Si 1.67
O 0.7495 0.7573 0.6099  1 Si 1.65
O 0.7504 0.7576 0.3263  1 Si 1.71
O 0.7506 0.0898 0.6592  1 Si 1.65
O 0.7530 0.0889 0.9431  1 Si 1.65
O 0.7525 0.9477 0.0034  1 Si 1.61
O 0.7571 0.6186 0.3884  1 Si 1.65
O 0.7566 0.9506 0.7226  1 Si 1.65
O 0.7575 0.2850 0.0544  1 Si 1.69, 1 Nb 1.89
O 0.7580 0.4128 0.2771  1 Si 1.59
O 0.7623 0.4228 0.9925  1 Si 1.63
O 0.8806 0.4230 0.4928  1 Si 1.63
O 0.8824 0.4127 0.7768  1 Si 1.59
O 0.8829 0.6141 0.1715  1 Si 1.61
O 0.8849 0.2833 0.5547  1 Si 1.68
O 0.8852 0.7572 0.8269  1 Si 1.66
O 0.8881 0.6197 0.8909  1 Si 1.68
O 0.8901 0.2798 0.8430  1 Si 1.66
O 0.8896 0.9448 0.5067  1 Si 1.61
O 0.8909 0.0874 0.4437  1 Si 1.65
O 0.8959 0.7490 0.1080  1 Si 1.61
O 0.8971 0.0839 0.1610  1 S 1.50
O 0.8971 0.9555 0.2181  1 S 1.50
O 0.9186 0.4342 0.1709  1 Si 1.60
O 0.9272 0.9332 0.8254  1 Si 1.62
O 0.9284 0.7695 0.5076  1 Si 1.63
O 0.9288 0.1028 0.8405  1 Si 1.64
O 0.9288 0.6001 0.4913  1 Si 1.64
O 0.9339 0.2695 0.4421  1 Si 1.65
O 0.9349 0.2608 0.1592  1 Si 1.70
O 0.9358 0.7679 0.2236  1 Si 1.70
O 0.9368 0.4328 0.8921  1 Si 1.67
O 0.9382 0.1017 0.5575  1 Si 1.66
O 0.9396 0.9462 0.1121  1 S 1.48
O 0.9430 0.6048 0.7757  1 Si 1.58
O 0.9936 0.8611 0.3254  1 Si 1.66
O 0.9946 0.1924 0.6604  1 Si 1.64
O 0.9969 0.1799 0.3413  1 Si 1.65
O 0.9973 0.5343 0.9920  1 Si 1.66
O 0.9989 0.1987 0.9440  1 Si 1.65
O 0.9994 0.8424 0.0045  1 Si 1.60

- spin magnetization (Bohr magnetons per cell) = 0.0
- space group = No. 1



Entry 2:
Here is a relaxed structure of TiZn2O4 from the Materials Project. Energies are from PBE-GGA.

a = 10.4100 Å, b = 10.4100 Å, c = 6.1116 Å
α = 90.14°, β = 90.14°, γ = 71.75°
Closest atoms and distances in Å follow each position.
Atoms (fractional coordinates):
Ti 0.0000 0.0000 0.0000  6 O 1.92-2.08
Ti 0.2445 0.5045 0.2366  6 O 1.91-2.10
Ti 0.4863 0.0096 0.4980  6 O 1.92-2.07
Ti 0.4955 0.7555 0.7634  6 O 1.91-2.10
Ti 0.5007 0.4993 0.5000  6 O 1.92-2.08
Ti 0.7428 0.0085 0.2505  6 O 1.97-2.04
Ti 0.9904 0.5137 0.5020  6 O 1.92-2.07
Ti 0.9915 0.2572 0.7495  6 O 1.97-2.04
Zn 0.1775 0.1940 0.2619  4 O 1.98-2.02
Zn 0.1838 0.6913 0.7531  4 O 2.00-2.01
Zn 0.2431 0.0065 0.7497  6 O 2.07-2.20
Zn 0.3043 0.3198 0.7437  4 O 2.00-2.01
Zn 0.3087 0.8162 0.2469  4 O 2.00-2.01
Zn 0.4900 0.0107 0.9990  6 O 2.08-2.22
Zn 0.4928 0.2559 0.2426  6 O 2.07-2.23
Zn 0.4975 0.5025 0.0000  6 O 2.10-2.19
Zn 0.6802 0.6957 0.2563  4 O 2.00-2.01
Zn 0.6820 0.1913 0.7562  4 O 1.98-2.02
Zn 0.7441 0.5072 0.7574  6 O 2.07-2.23
Zn 0.8060 0.8225 0.7381  4 O 1.98-2.02
Zn 0.8087 0.3180 0.2438  4 O 1.98-2.02
Zn 0.9893 0.5100 0.0010  6 O 2.08-2.22
Zn 0.9935 0.7569 0.2503  6 O 2.07-2.20
Zn 0.9969 0.0031 0.5000  6 O 2.07-2.19
O 0.1022 0.1351 0.9882  2 Ti 2.01-2.04, 2 Zn 2.02-2.20
O 0.1019 0.3823 0.7379  2 Ti 1.99-2.07, 2 Zn 2.00-2.18
O 0.1043 0.8924 0.7687  1 Ti 1.92, 3 Zn 2.00-2.14
O 0.1076 0.8957 0.2313  1 Ti 1.92, 3 Zn 2.00-2.14
O 0.1097 0.1339 0.5338  1 Ti 1.98, 3 Zn 1.98-2.07
O 0.1196 0.3972 0.2703  2 Ti 1.97-2.06, 1 Zn 2.01
O 0.1199 0.6151 0.4875  2 Ti 1.96-2.10, 2 Zn 2.01-2.19
O 0.1250 0.6238 0.0309  1 Ti 1.92, 3 Zn 2.01-2.12
O 0.3590 0.3890 0.0240  1 Ti 1.91, 3 Zn 2.01-2.14
O 0.3695 0.6141 0.2660  2 Ti 1.99-2.08, 2 Zn 2.00-2.19
O 0.3695 0.3967 0.4821  2 Ti 1.98-2.07, 2 Zn 2.00-2.18
O 0.3762 0.8750 0.9691  1 Ti 1.92, 3 Zn 2.01-2.12
O 0.3801 0.1180 0.2680  1 Ti 1.92, 3 Zn 2.01-2.13
O 0.3839 0.1187 0.7321  1 Ti 1.93, 3 Zn 2.00-2.14
O 0.3849 0.8801 0.5125  2 Ti 1.96-2.10, 2 Zn 2.01-2.19
O 0.3859 0.6305 0.7340  2 Ti 1.99-2.08, 2 Zn 2.00-2.19
O 0.6033 0.6305 0.5179  2 Ti 1.98-2.07, 2 Zn 2.00-2.18
O 0.6028 0.8804 0.7297  2 Ti 1.97-2.06, 1 Zn 2.01
O 0.6054 0.3931 0.7343  1 Ti 1.92, 3 Zn 2.00-2.14
O 0.6069 0.3946 0.2657  1 Ti 1.92, 3 Zn 2.00-2.14
O 0.6110 0.6410 0.9760  1 Ti 1.91, 3 Zn 2.01-2.14
O 0.6177 0.8981 0.2621  2 Ti 1.99-2.07, 2 Zn 2.00-2.18
O 0.6231 0.1138 0.4844  2 Ti 1.99-2.04, 1 Zn 2.02
O 0.6227 0.1235 0.0280  1 Ti 1.98, 3 Zn 1.98-2.08
O 0.8649 0.8978 0.0118  2 Ti 2.01-2.04, 2 Zn 2.02-2.20
O 0.8661 0.8903 0.4662  1 Ti 1.98, 3 Zn 1.98-2.07
O 0.8691 0.1151 0.2342  2 Ti 1.97-2.08, 2 Zn 2.01-2.19
O 0.8765 0.3773 0.9720  1 Ti 1.98, 3 Zn 1.98-2.08
O 0.8813 0.6161 0.2679  1 Ti 1.93, 3 Zn 2.00-2.14
O 0.8820 0.6199 0.7320  1 Ti 1.92, 3 Zn 2.01-2.13
O 0.8849 0.1309 0.7658  2 Ti 1.97-2.08, 2 Zn 2.01-2.19
O 0.8862 0.3769 0.5156  2 Ti 1.99-2.04, 1 Zn 2.02

- spin magnetization (Bohr magnetons per cell) = 0.0
- space group = No. 5



no.,E_tot (eV per atom)
1,-7.5139
2,-6.4157